1.
Entry from the Materials Project database: a relaxed structure of RbFeP2O7 (PBE with a Hubbard U).

Energy relative to the elements (eV per atom): -2.535
E (eV per atom): -6.884

Cell and atoms, written as POSCAR:
```
RbFeP2O7
1.0
10.158 0.000 0.000
0.000 7.630 0.000
0.000 2.306 8.091
Rb Fe P O
4 4 8 28
Cartesian
6.975 3.613 7.672 Rb
1.896 7.476 4.464 Rb
3.183 6.323 0.419 Rb
8.262 2.460 3.626 Rb
4.059 2.377 1.954 Fe
9.138 6.406 2.092 Fe
6.099 7.559 6.137 Fe
1.020 3.530 5.999 Fe
4.106 2.537 5.414 P
9.185 8.552 6.722 P
6.052 7.399 2.676 P
0.973 1.384 1.369 P
1.334 4.018 2.539 P
6.413 4.765 1.507 P
8.824 5.918 5.552 P
3.745 5.171 6.584 P
2.815 3.979 2.123 O
7.894 4.804 1.923 O
7.343 5.957 5.968 O
2.264 5.132 6.168 O
10.140 8.192 2.202 O
5.061 0.591 1.843 O
0.018 1.744 5.888 O
5.097 9.345 6.248 O
1.056 3.587 3.973 O
6.135 5.196 0.073 O
9.102 6.349 4.118 O
4.023 4.740 8.018 O
0.889 3.426 7.975 O
5.968 7.663 4.161 O
9.269 6.510 0.115 O
4.190 2.273 3.930 O
0.541 2.939 1.596 O
5.620 5.844 2.449 O
9.617 6.997 6.495 O
4.538 4.092 5.641 O
2.689 2.356 5.987 O
7.769 8.733 6.149 O
7.469 7.580 2.104 O
2.390 1.203 1.941 O
4.339 6.530 6.211 O
9.418 4.559 5.925 O
5.819 3.406 1.879 O
0.740 5.377 2.166 O
```

2.
Entry from the Materials Project database: a relaxed structure of Ba2MgW2O8 (PBE with a Hubbard U).

Energy relative to the elements (eV per atom): -2.612
E (eV per atom): -6.963
Energy above the most stable polymorph in this dataset (kJ per mole of atoms): 0.0

Cell and atoms, written as POSCAR:
```
Ba2MgW2O8
1.0
-2.840 1.962 -2.246
-4.134 -3.806 1.880
0.275 4.113 7.004
Ba Mg W O
2 1 2 8
Cartesian
-2.281 -0.951 2.073 Ba
-6.330 1.385 5.394 Ba
-4.411 -1.174 4.508 Mg
-2.817 2.296 5.540 W
-1.704 1.869 0.009 W
-4.525 -1.802 0.358 O
-2.976 1.456 1.283 O
-4.326 -2.747 3.052 O
-4.321 3.402 4.624 O
-5.379 -0.227 2.791 O
-1.535 2.514 4.106 O
-3.656 0.652 5.142 O
-2.112 4.089 6.202 O
```

3.
Entry from the Materials Project database: a relaxed structure of Na3Co4O8 (PBE with a Hubbard U).

Energy relative to the elements (eV per atom): -1.393
E (eV per atom): -5.389
Energy above the most stable polymorph in this dataset (kJ per mole of atoms): 11.6

Cell and atoms, written as POSCAR:
```
Na3Co4O8
1.0
10.116 4.550 2.676
8.564 7.124 -2.472
-10.173 -4.549 2.454
Na Co O
3 4 8
Cartesian
3.859 4.208 0.892 Na
4.629 2.917 3.466 Na
-0.019 0.000 1.699 Na
6.206 5.687 2.626 Co
6.969 4.356 0.085 Co
-7.872 -3.111 2.473 Co
11.710 7.318 0.136 Co
2.471 3.328 -0.852 O
3.260 2.050 1.706 O
1.491 0.956 3.413 O
0.650 2.203 0.939 O
6.998 6.170 0.907 O
-2.280 0.372 0.907 O
5.266 5.075 -0.838 O
6.056 3.797 1.753 O
```

Repeat the third record exactly.
Entry from the Materials Project database: a relaxed structure of Na3Co4O8 (PBE with a Hubbard U).

Energy relative to the elements (eV per atom): -1.393
E (eV per atom): -5.389
Energy above the most stable polymorph in this dataset (kJ per mole of atoms): 11.6

Cell and atoms, written as POSCAR:
```
Na3Co4O8
1.0
10.116 4.550 2.676
8.564 7.124 -2.472
-10.173 -4.549 2.454
Na Co O
3 4 8
Cartesian
3.859 4.208 0.892 Na
4.629 2.917 3.466 Na
-0.019 0.000 1.699 Na
6.206 5.687 2.626 Co
6.969 4.356 0.085 Co
-7.872 -3.111 2.473 Co
11.710 7.318 0.136 Co
2.471 3.328 -0.852 O
3.260 2.050 1.706 O
1.491 0.956 3.413 O
0.650 2.203 0.939 O
6.998 6.170 0.907 O
-2.280 0.372 0.907 O
5.266 5.075 -0.838 O
6.056 3.797 1.753 O
```